Computed, not measured: a relaxed structure of Sr4Mn2Ga2O11 at the PBE+U level of DFT.

Cell lengths 8.5637, 8.5327, 5.6280 Å; angles 71.08, 70.48, 38.44 degrees
Atoms (fractional coordinates):
Sr: 0.1219 0.6237 0.3763
Sr: 0.3763 0.8781 0.1219
Sr: 0.6237 0.1219 0.8781
Sr: 0.8781 0.3763 0.6237
Mn: 0.0000 0.5000 0.0000
Mn: 0.5000 0.0000 0.5000
Ga: 0.2314 0.7686 0.7686
Ga: 0.7686 0.2314 0.2314
O: 0.0000 0.0000 0.0000
O: 0.0000 0.0000 0.5000
O: 0.1759 0.5781 0.8241
O: 0.2270 0.2270 0.7730
O: 0.2500 0.2500 0.2500
O: 0.4219 0.8241 0.5781
O: 0.5000 0.5000 0.0000
O: 0.5781 0.1759 0.4219
O: 0.7500 0.7500 0.7500
O: 0.7730 0.7730 0.2270
O: 0.8241 0.4219 0.1759

- spin magnetization (μB/f.u.) = 6.01
- formation enthalpy at 0 K (eV/atom) = -2.54

***

Computed, not measured: a relaxed structure of YMnGaO5 at the PBE+U level of DFT.

Cell lengths 7.3934, 8.5564, 5.7592 Å; angles 90.00, 90.00, 90.00 degrees
Atoms (fractional coordinates):
Y: 0.1335 0.1684 0.0000
Y: 0.3665 0.6684 0.0000
Y: 0.6335 0.3316 0.0000
Y: 0.8665 0.8316 0.0000
Mn: 0.0000 0.5000 0.2514
Mn: 0.0000 0.5000 0.7486
Mn: 0.5000 0.0000 0.2514
Mn: 0.5000 0.0000 0.7486
Ga: 0.1096 0.8539 0.5000
Ga: 0.3904 0.3539 0.5000
Ga: 0.6096 0.6461 0.5000
Ga: 0.8904 0.1461 0.5000
O: 0.0000 0.0000 0.2717
O: 0.0000 0.0000 0.7283
O: 0.1080 0.7062 0.2418
O: 0.1080 0.7062 0.7582
O: 0.1495 0.4280 0.5000
O: 0.1601 0.4418 0.0000
O: 0.3399 0.9418 0.0000
O: 0.3505 0.9280 0.5000
O: 0.3920 0.2062 0.2418
O: 0.3920 0.2062 0.7582
O: 0.5000 0.5000 0.2717
O: 0.5000 0.5000 0.7283
O: 0.6080 0.7938 0.2418
O: 0.6080 0.7938 0.7582
O: 0.6495 0.0720 0.5000
O: 0.6601 0.0582 0.0000
O: 0.8399 0.5582 0.0000
O: 0.8505 0.5720 0.5000
O: 0.8920 0.2938 0.2418
O: 0.8920 0.2938 0.7582

- formation enthalpy at 0 K (eV/atom) = -2.71

***

Computed, not measured: a relaxed structure of Ga2Mo3O12 at the PBE+U level of DFT.

Cell lengths 16.0758, 9.3934, 16.0576 Å; angles 90.00, 108.93, 90.00 degrees
Atoms (fractional coordinates):
Ga: 0.0600 0.0342 0.1826
Ga: 0.0600 0.4658 0.6826
Ga: 0.1847 0.0275 0.5684
Ga: 0.1847 0.4725 0.0684
Ga: 0.3165 0.5308 0.4369
Ga: 0.3165 0.9692 0.9369
Ga: 0.4280 0.5316 0.8143
Ga: 0.4280 0.9684 0.3143
Ga: 0.5720 0.0316 0.6857
Ga: 0.5720 0.4684 0.1857
Ga: 0.6835 0.0308 0.0631
Ga: 0.6835 0.4692 0.5631
Ga: 0.8153 0.5275 0.9316
Ga: 0.8153 0.9725 0.4316
Ga: 0.9400 0.5342 0.3174
Ga: 0.9400 0.9658 0.8174
Mo: 0.0132 0.7492 0.0124
Mo: 0.0132 0.7508 0.5124
Mo: 0.1293 0.1224 0.7749
Mo: 0.1293 0.3776 0.2749
Mo: 0.2231 0.6262 0.8711
Mo: 0.2231 0.8738 0.3711
Mo: 0.2641 0.1170 0.1234
Mo: 0.2641 0.3830 0.6234
Mo: 0.3795 0.6152 0.2331
Mo: 0.3795 0.8848 0.7331
Mo: 0.4894 0.2498 0.4877
Mo: 0.4894 0.2502 0.9877
Mo: 0.5106 0.7498 0.0123
Mo: 0.5106 0.7502 0.5123
Mo: 0.6205 0.1152 0.2669
Mo: 0.6205 0.3848 0.7669
Mo: 0.7359 0.6170 0.3766
Mo: 0.7359 0.8830 0.8766
Mo: 0.7769 0.1262 0.6289
Mo: 0.7769 0.3738 0.1289
Mo: 0.8707 0.6224 0.7251
Mo: 0.8707 0.8776 0.2251
Mo: 0.9868 0.2492 0.4876
Mo: 0.9868 0.2508 0.9876
O: 0.0073 0.6795 0.4068
O: 0.0073 0.8205 0.9068
O: 0.0172 0.6124 0.5903
O: 0.0172 0.8876 0.0903
O: 0.0424 0.0072 0.7811
O: 0.0424 0.4928 0.2811
O: 0.0821 0.1410 0.4998
O: 0.0821 0.3590 0.9998
O: 0.0990 0.1920 0.2683
O: 0.0990 0.3080 0.7683
O: 0.1106 0.6444 0.0527
O: 0.1106 0.8556 0.5527
O: 0.1327 0.6026 0.7705
O: 0.1327 0.8974 0.2705
O: 0.1571 0.0734 0.6802
O: 0.1571 0.4266 0.1802
O: 0.1619 0.0684 0.1374
O: 0.1619 0.4316 0.6374
O: 0.2106 0.5236 0.9603
O: 0.2106 0.9764 0.4603
O: 0.2249 0.1034 0.8708
O: 0.2249 0.3966 0.3708
O: 0.2306 0.6869 0.3971
O: 0.2306 0.8131 0.8971
O: 0.2592 0.1999 0.5901
O: 0.2592 0.3001 0.0901
O: 0.2812 0.0026 0.0413
O: 0.2812 0.4974 0.5413
O: 0.2852 0.5846 0.1386
O: 0.2852 0.9154 0.6386
O: 0.3225 0.5741 0.8530
O: 0.3225 0.9259 0.3530
O: 0.3521 0.0978 0.2257
O: 0.3521 0.4022 0.7257
O: 0.3573 0.5662 0.3313
O: 0.3573 0.9338 0.8313
O: 0.4007 0.6967 0.7350
O: 0.4007 0.8033 0.2350
O: 0.4032 0.1221 0.9702
O: 0.4032 0.3779 0.4702
O: 0.4088 0.6660 0.5071
O: 0.4088 0.8340 0.0071
O: 0.4623 0.1234 0.3998
O: 0.4623 0.3766 0.8998
O: 0.4716 0.5139 0.2256
O: 0.4716 0.9861 0.7256
O: 0.4979 0.6626 0.9099
O: 0.4979 0.8374 0.4099
O: 0.5021 0.1626 0.5901
O: 0.5021 0.3374 0.0901
O: 0.5284 0.0139 0.2744
O: 0.5284 0.4861 0.7744
O: 0.5377 0.6234 0.1002
O: 0.5377 0.8766 0.6002
O: 0.5912 0.1660 0.9929
O: 0.5912 0.3340 0.4929
O: 0.5968 0.6221 0.5298
O: 0.5968 0.8779 0.0298
O: 0.5993 0.1967 0.7650
O: 0.5993 0.3033 0.2650
O: 0.6427 0.0662 0.1687
O: 0.6427 0.4338 0.6687
O: 0.6479 0.5978 0.2743
O: 0.6479 0.9022 0.7743
O: 0.6775 0.0741 0.6470
O: 0.6775 0.4259 0.1470
O: 0.7148 0.0846 0.3614
O: 0.7148 0.4154 0.8614
O: 0.7188 0.5026 0.4587
O: 0.7188 0.9974 0.9587
O: 0.7408 0.6999 0.9099
O: 0.7408 0.8001 0.4099
O: 0.7694 0.1869 0.1029
O: 0.7694 0.3131 0.6029
O: 0.7751 0.6034 0.6292
O: 0.7751 0.8966 0.1292
O: 0.7894 0.0236 0.5397
O: 0.7894 0.4764 0.0397
O: 0.8381 0.5684 0.3626
O: 0.8381 0.9316 0.8626
O: 0.8429 0.5734 0.8198
O: 0.8429 0.9266 0.3198
O: 0.8673 0.1026 0.7295
O: 0.8673 0.3974 0.2295
O: 0.8894 0.1444 0.4473
O: 0.8894 0.3556 0.9473
O: 0.9010 0.6920 0.2317
O: 0.9010 0.8080 0.7317
O: 0.9179 0.6410 0.0002
O: 0.9179 0.8590 0.5002
O: 0.9576 0.5072 0.7189
O: 0.9576 0.9928 0.2189
O: 0.9828 0.1124 0.9097
O: 0.9828 0.3876 0.4097
O: 0.9927 0.1795 0.0932
O: 0.9927 0.3205 0.5932

- spin magnetization (μB/f.u.) = 0.00
- formation enthalpy at 0 K (eV/atom) = -2.03

***

Computed, not measured: a relaxed structure of Sr2GaMo2O7 at the PBE+U level of DFT.

Cell lengths 11.9115, 11.9115, 5.7429 Å; angles 103.90, 103.90, 27.09 degrees
Atoms (fractional coordinates):
Sr: 0.1506 0.1506 0.1321
Sr: 0.3476 0.3507 0.3267
Sr: 0.6493 0.6524 0.6733
Sr: 0.8494 0.8494 0.8679
Ga: 0.2147 0.2895 0.6776
Ga: 0.7105 0.7853 0.3224
Mo: 0.0650 0.0591 0.5622
Mo: 0.4338 0.4271 0.9270
Mo: 0.5729 0.5662 0.0730
Mo: 0.9409 0.9350 0.4378
O: 0.1680 0.6672 0.6634
O: 0.1753 0.6888 0.1906
O: 0.2152 0.1479 0.7487
O: 0.3112 0.8247 0.8094
O: 0.3328 0.8320 0.3366
O: 0.3466 0.3116 0.8676
O: 0.3747 0.1259 0.3838
O: 0.6809 0.1711 0.1806
O: 0.6885 0.1608 0.6626
O: 0.6884 0.6534 0.1324
O: 0.8289 0.3191 0.8194
O: 0.8392 0.3115 0.3374
O: 0.8521 0.7848 0.2513
O: 0.8741 0.6253 0.6162

- spin magnetization (μB/f.u.) = 4.00
- formation enthalpy at 0 K (eV/atom) = -2.29

***

Computed, not measured: a relaxed structure of NaGaW2O8 at the PBE+U level of DFT.

Cell lengths 9.9687, 5.8191, 5.0581 Å; angles 90.00, 90.47, 90.00 degrees
Atoms (fractional coordinates):
Na: 0.0000 0.1725 0.2500
Na: 0.0000 0.8275 0.7500
Ga: 0.5000 0.1590 0.2500
Ga: 0.5000 0.8410 0.7500
W: 0.2668 0.3255 0.7438
W: 0.2668 0.6745 0.2438
W: 0.7332 0.3255 0.7562
W: 0.7332 0.6745 0.2562
O: 0.1471 0.1277 0.6210
O: 0.1471 0.8723 0.1210
O: 0.1737 0.4053 0.0600
O: 0.1737 0.5947 0.5600
O: 0.3781 0.3759 0.4227
O: 0.3781 0.6241 0.9227
O: 0.3939 0.1210 0.9130
O: 0.3939 0.8790 0.4130
O: 0.6061 0.1210 0.5870
O: 0.6061 0.8790 0.0870
O: 0.6219 0.3759 0.0773
O: 0.6219 0.6241 0.5773
O: 0.8263 0.4053 0.4400
O: 0.8263 0.5947 0.9400
O: 0.8529 0.1277 0.8790
O: 0.8529 0.8723 0.3790

- spin magnetization (μB/f.u.) = 0.00
- formation enthalpy at 0 K (eV/atom) = -2.21

***

Computed, not measured: a relaxed structure of GaNiO3 at the PBE+U level of DFT.

Cell lengths 3.6713, 3.6713, 3.6713 Å; angles 90.00, 90.00, 90.00 degrees
Atoms (fractional coordinates):
Ga: 0.0000 0.0000 0.0000
Ni: 0.5000 0.5000 0.5000
O: 0.0000 0.5000 0.5000
O: 0.5000 0.0000 0.5000
O: 0.5000 0.5000 0.0000

- spin magnetization (μB/f.u.) = 0.80
- formation enthalpy at 0 K (eV/atom) = -0.65

***

Computed, not measured: a relaxed structure of Sr2GaNi2O7 at the PBE+U level of DFT.

Cell lengths 13.0396, 13.0396, 5.0393 Å; angles 101.07, 101.07, 147.03 degrees
Atoms (fractional coordinates):
Sr: 0.0960 0.9040 0.0000
Sr: 0.4318 0.6242 0.0300
Sr: 0.6242 0.4318 0.0300
Sr: 0.9040 0.0960 0.0000
Ga: 0.0819 0.0819 0.5315
Ga: 0.4456 0.4456 0.3938
Ni: 0.1992 0.8341 0.5177
Ni: 0.3253 0.6997 0.5149
Ni: 0.6997 0.3253 0.5149
Ni: 0.8341 0.1992 0.5177
O: 0.0458 0.9074 0.4886
O: 0.0790 0.4295 0.9926
O: 0.0881 0.4327 0.5105
O: 0.1156 0.1156 0.1863
O: 0.4127 0.4127 0.9832
O: 0.4295 0.0790 0.9926
O: 0.4327 0.0881 0.5105
O: 0.4795 0.6196 0.5606
O: 0.5874 0.9448 0.5189
O: 0.5931 0.9533 0.0402
O: 0.6196 0.4795 0.5606
O: 0.9074 0.0458 0.4886
O: 0.9448 0.5874 0.5189
O: 0.9533 0.5931 0.0402

- spin magnetization (μB/f.u.) = 4.82
- formation enthalpy at 0 K (eV/atom) = -1.76

***

Computed, not measured: a relaxed structure of Sr2YGaNi2O7 at the PBE+U level of DFT.

Cell lengths 11.8869, 11.8869, 11.8869 Å; angles 38.77, 152.61, 153.10 degrees
Atoms (fractional coordinates):
Sr: 0.0194 0.1485 0.1679
Sr: 0.0194 0.3515 0.3709
Sr: 0.9806 0.6485 0.6291
Sr: 0.9806 0.8515 0.8321
Y: 0.0063 0.0063 0.0000
Y: 0.0063 0.5063 0.5000
Ga: 0.3850 0.7113 0.1737
Ga: 0.5376 0.2113 0.8263
Ni: 0.5036 0.5875 0.0807
Ni: 0.5036 0.9229 0.4162
Ni: 0.5068 0.0875 0.5838
Ni: 0.5068 0.4229 0.9193
O: 0.0054 0.1918 0.6865
O: 0.0054 0.8189 0.3136
O: 0.0056 0.3205 0.8175
O: 0.0056 0.6880 0.1851
O: 0.2412 0.8685 0.8726
O: 0.4818 0.2024 0.6290
O: 0.4818 0.3528 0.7795
O: 0.5029 0.1880 0.1825
O: 0.5029 0.8205 0.8149
O: 0.5053 0.3189 0.3135
O: 0.5053 0.6918 0.6864
O: 0.5734 0.7024 0.2205
O: 0.5734 0.8528 0.3710
O: 0.9959 0.3685 0.1274

- spin magnetization (μB/f.u.) = 4.00
- formation enthalpy at 0 K (eV/atom) = -2.51